--- one ---
Here is a relaxed C crystal from Materials Project. Energies are from PBE.

abc: 2.5131 2.5131 4.1814
angles: 90.00 90.00 120.00
Space group P6_3/mmc (No. 194)
Inequivalent atoms, fractional coordinates:
C  0.3333  0.6667  0.0628 (multiplicity 4)

***

--- two ---
Here is a relaxed C crystal from Materials Project. Energies are from PBE.

abc: 2.4674 4.2745 8.0283
angles: 90.00 90.00 90.00
Space group Cmme (No. 67)
Inequivalent atoms, fractional coordinates:
C  0.0000  0.0834  0.2399 (multiplicity 8)

***

--- three ---
Here is a relaxed C crystal from Materials Project. Energies are from PBE.

abc: 10.1234 10.2484 10.9033
angles: 91.11 94.85 90.05
Space group P1 (No. 1)
Inequivalent atoms, fractional coordinates:
C  0.0000  0.0000  0.0000 (multiplicity 1)
C  0.0001  0.3885  0.4404 (multiplicity 1)
C  0.0165  0.2858  0.5114 (multiplicity 1)
C  0.0183  0.1420  0.4920 (multiplicity 1)
C  0.0350  0.1379  0.9637 (multiplicity 1)
C  0.0359  0.6820  0.4816 (multiplicity 1)
C  0.0385  0.5714  0.7705 (multiplicity 1)
C  0.0807  0.7526  0.2638 (multiplicity 1)
C  0.0868  0.5150  0.6499 (multiplicity 1)
C  0.0913  0.2904  0.7851 (multiplicity 1)
C  0.0954  0.7980  0.0831 (multiplicity 1)
C  0.0976  0.9056  0.0112 (multiplicity 1)
C  0.1076  0.1288  0.2828 (multiplicity 1)
C  0.1125  0.7281  0.3861 (multiplicity 1)
C  0.1151  0.0867  0.4060 (multiplicity 1)
C  0.1151  0.6559  0.8424 (multiplicity 1)
C  0.1187  0.1519  0.1743 (multiplicity 1)
C  0.1190  0.6092  0.5564 (multiplicity 1)
C  0.1246  0.1939  0.0529 (multiplicity 1)
C  0.1839  0.7617  0.1853 (multiplicity 1)
C  0.2081  0.3076  0.7192 (multiplicity 1)
C  0.2181  0.0044  0.4294 (multiplicity 1)
C  0.2331  0.4597  0.6915 (multiplicity 1)
C  0.2425  0.2773  0.0388 (multiplicity 1)
C  0.2525  0.6490  0.8537 (multiplicity 1)
C  0.2526  0.7112  0.4252 (multiplicity 1)
C  0.2539  0.6161  0.5215 (multiplicity 1)
C  0.2834  0.2062  0.6883 (multiplicity 1)
C  0.2867  0.3916  0.0919 (multiplicity 1)
C  0.3026  0.5377  0.7952 (multiplicity 1)
C  0.3110  0.8034  0.2312 (multiplicity 1)
C  0.3320  0.5241  0.5974 (multiplicity 1)
C  0.3319  0.8079  0.3614 (multiplicity 1)
C  0.3355  0.9498  0.4070 (multiplicity 1)
C  0.3582  0.1051  0.6787 (multiplicity 1)
C  0.3610  0.2127  0.9959 (multiplicity 1)
C  0.3637  0.7989  0.0253 (multiplicity 1)
C  0.3658  0.7109  0.9343 (multiplicity 1)
C  0.3755  0.8645  0.1318 (multiplicity 1)
C  0.3948  0.4639  0.0678 (multiplicity 1)
C  0.4129  0.1059  0.0569 (multiplicity 1)
C  0.4329  0.1748  0.4036 (multiplicity 1)
C  0.4325  0.4273  0.9435 (multiplicity 1)
C  0.4338  0.9929  0.1223 (multiplicity 1)
C  0.4407  0.0122  0.6699 (multiplicity 1)
C  0.4454  0.5186  0.8391 (multiplicity 1)
C  0.4474  0.2918  0.9271 (multiplicity 1)
C  0.4489  0.0377  0.4022 (multiplicity 1)
C  0.4552  0.2920  0.3991 (multiplicity 1)
C  0.4677  0.5012  0.6123 (multiplicity 1)
C  0.4774  0.5285  0.1663 (multiplicity 1)
C  0.4876  0.6407  0.9125 (multiplicity 1)
C  0.4942  0.4215  0.3957 (multiplicity 1)
C  0.4958  0.5004  0.2973 (multiplicity 1)
C  0.5322  0.4728  0.7400 (multiplicity 1)
C  0.5393  0.0472  0.0686 (multiplicity 1)
C  0.5454  0.2466  0.8448 (multiplicity 1)
C  0.5620  0.4955  0.5091 (multiplicity 1)
C  0.5621  0.9484  0.6885 (multiplicity 1)
C  0.5662  0.6373  0.1866 (multiplicity 1)
C  0.5708  0.6211  0.3258 (multiplicity 1)
C  0.5760  0.3298  0.7465 (multiplicity 1)
C  0.5789  0.0044  0.4004 (multiplicity 1)
C  0.5905  0.8340  0.6151 (multiplicity 1)
C  0.5920  0.6355  0.4543 (multiplicity 1)
C  0.5995  0.7443  0.5385 (multiplicity 1)
C  0.6077  0.1211  0.8671 (multiplicity 1)
C  0.6179  0.6431  0.9639 (multiplicity 1)
C  0.6402  0.0635  0.9949 (multiplicity 1)
C  0.6418  0.0145  0.7835 (multiplicity 1)
C  0.6436  0.6979  0.0954 (multiplicity 1)
C  0.6633  0.3069  0.6559 (multiplicity 1)
C  0.6718  0.5375  0.7670 (multiplicity 1)
C  0.6886  0.4201  0.5729 (multiplicity 1)
C  0.7024  0.0027  0.4226 (multiplicity 1)
C  0.7133  0.5812  0.8851 (multiplicity 1)
C  0.7381  0.7873  0.1188 (multiplicity 1)
C  0.7553  0.5059  0.6749 (multiplicity 1)
C  0.7689  0.0270  0.9784 (multiplicity 1)
C  0.7689  0.0639  0.8431 (multiplicity 1)
C  0.7691  0.2172  0.6757 (multiplicity 1)
C  0.8245  0.9714  0.4745 (multiplicity 1)
C  0.8369  0.4567  0.5949 (multiplicity 1)
C  0.8544  0.1365  0.6354 (multiplicity 1)
C  0.8536  0.5499  0.9196 (multiplicity 1)
C  0.8547  0.8415  0.4856 (multiplicity 1)
C  0.8556  0.8442  0.1149 (multiplicity 1)
C  0.8596  0.1463  0.7758 (multiplicity 1)
C  0.8744  0.9623  0.0413 (multiplicity 1)
C  0.8988  0.5630  0.0346 (multiplicity 1)
C  0.9131  0.0766  0.5336 (multiplicity 1)
C  0.9148  0.7380  0.4965 (multiplicity 1)
C  0.9383  0.6071  0.1442 (multiplicity 1)
C  0.9520  0.5230  0.2443 (multiplicity 1)
C  0.9542  0.4898  0.8411 (multiplicity 1)
C  0.9739  0.7537  0.1540 (multiplicity 1)
C  0.9756  0.4482  0.3294 (multiplicity 1)
C  0.9765  0.4207  0.5730 (multiplicity 1)
C  0.9851  0.2099  0.8480 (multiplicity 1)
C  0.9978  0.3594  0.8403 (multiplicity 1)

***

--- four ---
Here is a relaxed C crystal from Materials Project. Energies are from PBE.

abc: 14.2957 14.2957 14.2957
angles: 90.00 90.00 90.00
Space group Pa-3 (No. 205)
Inequivalent atoms, fractional coordinates:
C  0.0064  0.2422  0.9461 (multiplicity 24)
C  0.0193  0.5638  0.7397 (multiplicity 24)
C  0.0198  0.1482  0.8016 (multiplicity 24)
C  0.0325  0.6004  0.2750 (multiplicity 24)
C  0.0348  0.7031  0.6384 (multiplicity 24)
C  0.0374  0.7195  0.3885 (multiplicity 24)
C  0.0601  0.2013  0.1338 (multiplicity 24)
C  0.0631  0.1278  0.2041 (multiplicity 24)
C  0.0947  0.6570  0.3321 (multiplicity 24)
C  0.1173  0.1302  0.8240 (multiplicity 24)

***

Which of them is most stable, and which least? Most stable: two; least stable: three.